Here is crystalline Zn3Si12H78C26O4 at its relaxed geometry from the Materials Project. Energies are from PBE.

Values from the calculation:
Total energy ... -5.092 eV per atom
Magnetic moment ... 0.00 μB per atom

a = 10.262 Å, b = 11.985 Å, c = 14.080 Å
α = 103.13°, β = 97.73°, γ = 111.16°
Space group P-1 (No. 2)
Inequivalent atoms, fractional coordinates:
Zn: 0.000 0.000 0.000 [1 per cell]
Zn: 0.094 0.792 0.968 [2 per cell]
Si: 0.049 0.891 0.286 [2 per cell]
Si: 0.161 0.338 0.357 [2 per cell]
Si: 0.186 0.214 0.206 [2 per cell]
Si: 0.204 0.017 0.203 [2 per cell]
Si: 0.369 0.341 0.142 [2 per cell]
Si: 0.439 0.020 0.254 [2 per cell]
H: 0.036 0.640 0.569 [2 per cell]
H: 0.059 0.854 0.452 [2 per cell]
H: 0.074 0.306 0.860 [2 per cell]
H: 0.075 0.339 0.743 [2 per cell]
H: 0.084 0.694 0.210 [2 per cell]
H: 0.086 0.669 0.701 [2 per cell]
H: 0.096 0.795 0.650 [2 per cell]
H: 0.097 0.586 0.981 [2 per cell]
H: 0.101 0.990 0.665 [2 per cell]
H: 0.136 0.608 0.866 [2 per cell]
H: 0.170 0.013 0.468 [2 per cell]
H: 0.179 0.094 0.789 [2 per cell]
H: 0.194 0.153 0.684 [2 per cell]
H: 0.199 0.208 0.465 [2 per cell]
H: 0.205 0.538 0.311 [2 per cell]
H: 0.212 0.432 0.062 [2 per cell]
H: 0.218 0.358 0.538 [2 per cell]
H: 0.232 0.893 0.426 [2 per cell]
H: 0.238 0.565 0.444 [2 per cell]
H: 0.272 0.689 0.980 [2 per cell]
H: 0.273 0.204 0.964 [2 per cell]
H: 0.335 0.544 0.174 [2 per cell]
H: 0.340 0.947 0.808 [2 per cell]
H: 0.361 0.342 0.484 [2 per cell]
H: 0.362 0.865 0.594 [2 per cell]
H: 0.368 0.535 0.814 [2 per cell]
H: 0.368 0.542 0.379 [2 per cell]
H: 0.368 0.834 0.319 [2 per cell]
H: 0.373 0.788 0.191 [2 per cell]
H: 0.393 0.156 0.031 [2 per cell]
H: 0.395 0.511 0.062 [2 per cell]
H: 0.410 0.646 0.745 [2 per cell]
H: 0.413 0.841 0.836 [2 per cell]
H: 0.440 0.506 0.707 [2 per cell]
H: 0.448 0.767 0.618 [2 per cell]
H: 0.462 0.291 0.990 [2 per cell]
H: 0.464 0.133 0.714 [2 per cell]
H: 0.471 0.115 0.439 [2 per cell]
H: 0.491 0.001 0.911 [2 per cell]
C: 0.008 0.281 0.784 [2 per cell]
C: 0.033 0.696 0.642 [2 per cell]
C: 0.122 0.083 0.713 [2 per cell]
C: 0.137 0.916 0.420 [2 per cell]
C: 0.156 0.655 0.946 [2 per cell]
C: 0.243 0.308 0.471 [2 per cell]
C: 0.252 0.512 0.374 [2 per cell]
C: 0.322 0.469 0.107 [2 per cell]
C: 0.375 0.238 0.020 [2 per cell]
C: 0.427 0.862 0.263 [2 per cell]
C: 0.441 0.938 0.834 [2 per cell]
C: 0.445 0.580 0.772 [2 per cell]
C: 0.467 0.863 0.618 [2 per cell]
O: 0.038 0.157 0.109 [2 per cell]
O: 0.129 0.943 0.078 [2 per cell]